Entry from the Materials Project: an optimized crystal structure of La5Sb3Br (PBE).

a = 9.6708 Å, b = 9.6708 Å, c = 6.8023 Å
α = 90.00°, β = 90.00°, γ = 120.00°
Last column: nearest neighbours and their distance in Å.
Space group P6_3/mcm (No. 193)
One atom of each set of equivalent atoms:
La1 0.0000 0.2747 0.2500  2 Br 3.15, 3 Sb 3.31
La2 0.3333 0.6667 0.0000  2 La 3.40, 6 Sb 3.46
Sb1 0.0000 0.3830 0.7500  9 La 3.31-3.56
Br1 0.0000 0.0000 0.0000  6 La 3.15, 2 Br 3.40

energy with MP2020 corrections = -5.598 eV/atom
energy relative to the elements = -1298 meV per atom
total energy = -5.54 eV per atom



Entry from the Materials Project: an optimized crystal structure of TiCrCuS4 (PBE).

a = 11.4175 Å, b = 6.9758 Å, c = 11.9425 Å
α = 90.00°, β = 90.00°, γ = 90.00°
Last column: nearest neighbours and their distance in Å.
Space group Pca2_1 (No. 29)
One atom of each set of equivalent atoms:
Ti1 0.0895 0.1153 0.0000  4 S 2.26-2.51
Ti2 0.1340 0.6232 0.6493  6 S 2.38-2.54
Cr1 0.1397 0.8738 0.2921  5 S 2.40-2.55
Cr2 0.1574 0.3822 0.2688  5 S 2.33-2.45
Cu1 0.1095 0.6262 0.0041  6 S 2.38-2.58
Cu2 0.1227 0.1115 0.6406  6 S 2.37-2.64
S1 0.0239 0.6109 0.1929  2 Cr 2.39-2.55, 2 Cu 2.46-2.64, 1 Ti 2.49
S2 0.0258 0.1399 0.2005  2 Cr 2.40-2.52, 2 Ti 2.51-2.54, 1 Cu 2.54
S3 0.0339 0.1281 0.4598  1 Ti 2.26, 2 Cu 2.39-2.43
S4 0.0360 0.6331 0.4583  2 Ti 2.32-2.54, 1 Cu 2.52
S5 0.2158 0.1230 0.8357  1 Ti 2.43, 2 Cr 2.45, 1 Cu 2.56
S6 0.2173 0.6313 0.8341  1 Cu 2.38, 2 Cr 2.38-2.40, 1 Ti 2.40
S7 0.2304 0.8780 0.1072  2 Cu 2.37-2.55, 2 Ti 2.41-2.64, 1 Cr 2.44
S8 0.2424 0.3671 0.0919  1 Cr 2.33, 1 Ti 2.38, 2 Cu 2.43-2.58

energy with MP2020 corrections = -6.394 eV/atom
energy relative to the elements = -938 meV per atom
energy above the most stable polymorph in this dataset = 249 meV per atom
total energy = -6.11 eV per atom



Entry from the Materials Project: an optimized crystal structure of CaIn2Ir (PBE).

a = 16.0664 Å, b = 7.9606 Å, c = 5.7638 Å
α = 90.00°, β = 90.00°, γ = 90.00°
Last column: nearest neighbours and their distance in Å.
Space group Pnma (No. 62)
One atom of each set of equivalent atoms:
Ca1 0.1024 0.2500 0.2480  3 Ir 3.07-3.25, 6 In 3.32-3.41
Ca2 0.1382 0.7500 0.4611  3 Ir 2.98-3.18
In1 0.0393 0.0540 0.7517  3 Ir 2.80-2.83, 1 In 3.12
In2 0.2122 0.5499 0.9670  3 Ir 2.76-2.78
Ir1 0.0703 0.7500 0.9793  6 In 2.78-2.82, 2 Ca 2.98-3.07
Ir2 0.1858 0.2500 0.7341  6 In 2.76-2.83

energy relative to the elements = -440 meV per atom
total energy = -4.53 eV per atom